# Na3HfMg3PS5O24

An optimized crystal structure of Na3HfMg3PS5O24 (PBE, the Materials Project).

```
Na3HfMg3PS5O24
1.0
-3.7922 3.9502 -6.8460
-4.2189 -0.5799 7.6476
9.0219 19.8365 6.4568
O S Na Hf P Mg
72 15 9 3 3 9
Cartesian
1.2754 16.6172 7.6788
-2.5636 6.7649 3.2789
-6.3075 5.1887 0.0298
0.8649 15.4468 -1.5504
3.4282 17.3652 1.3014
-2.3982 8.7399 5.5333
0.7950 10.8684 -0.6255
-2.5516 1.7293 4.5197
1.6865 20.7296 6.6795
-2.4158 5.8275 5.9585
4.0457 19.1378 -0.1991
4.6921 14.4146 4.8623
7.3617 17.9950 7.1885
0.2857 13.6853 -0.0488
1.7924 6.7822 0.7435
-1.2878 14.5192 4.2385
0.1995 19.2992 4.5667
3.1619 18.8053 6.9273
2.7448 18.0764 9.7520
2.4089 12.2501 1.4299
-2.3136 7.9690 -1.8148
0.7798 9.5299 7.3367
1.1719 14.8929 3.6473
-0.1263 12.9442 2.7589
3.3862 14.4663 1.7158
-3.6870 8.7703 2.4003
-5.2222 3.6616 -1.4631
-4.6428 6.5446 2.1112
0.2418 12.3026 7.9153
0.7609 3.9182 2.6819
2.7266 13.4338 10.5091
1.1369 10.2283 4.4189
2.5937 11.6448 6.6054
3.6553 15.9713 6.3465
-0.2828 5.4656 4.1334
-4.8713 3.0261 3.6440
0.5724 13.0419 5.2257
4.4686 12.4534 2.6300
-0.7957 16.3656 6.5440
-2.6099 7.2254 0.9191
3.6191 16.4301 3.9645
-1.7308 9.7485 -3.2985
6.2709 19.6379 8.7129
3.7664 20.5653 5.4623
-2.7399 2.6624 1.8275
-2.4271 5.0367 -4.8878
0.1262 7.3507 6.3922
-2.0884 4.4402 0.3569
3.5426 21.5134 2.8254
3.2983 15.2250 9.0697
0.4563 10.1268 2.0788
4.0344 20.0791 10.7226
5.8551 20.2143 3.6517
-1.7014 5.1378 -2.5346
-1.4236 10.9636 5.8213
-4.2680 5.8674 -1.1598
-3.0583 4.0373 7.4124
1.2845 17.7763 3.0733
3.4627 18.1372 12.2033
5.6669 16.6458 5.1528
-0.2738 6.5798 -0.3979
-0.6645 2.4729 0.5264
5.2240 17.3366 8.4316
2.2132 8.6942 2.9358
-3.4830 10.7353 4.6333
3.7555 21.0062 7.8433
-2.9890 3.2672 -3.3853
0.8781 15.8674 0.8740
-2.7406 2.2893 -0.6062
-0.1357 8.3238 3.5207
-1.5942 11.5069 0.6833
0.1374 7.7420 8.8058
3.6906 13.0533 1.5240
3.0668 20.2897 6.7788
0.9304 9.3191 3.2919
0.2345 15.1952 -0.2528
-5.5119 5.1146 -1.2299
-1.9374 4.2993 -3.7199
4.0455 17.6915 -0.0012
-0.0018 18.3847 3.4441
-3.0653 5.5167 7.2486
-2.7562 8.7452 -2.9950
-3.4171 7.3498 2.1852
-2.6479 10.1716 5.7125
0.7504 8.0658 7.5073
4.4466 15.8525 5.0421
-2.0704 2.9775 0.5614
0.7461 13.8520 -3.5573
5.1498 23.6565 -0.3778
-0.6515 6.1984 1.9146
3.5632 18.8836 3.3077
-2.5619 4.2506 3.8966
-0.9674 9.0493 0.0592
1.8724 14.1691 6.9935
-4.4835 2.2320 5.8544
2.2305 11.3018 8.9347
0.3878 11.9964 1.1395
4.8702 21.8240 4.2408
3.2886 17.0635 8.1258
0.1180 13.8905 4.0487
6.5429 18.1846 8.4395
3.0439 18.9602 11.0121
0.5479 11.2576 6.0737
7.6350 16.9314 5.5151
2.2551 16.0204 2.4690
-4.8153 10.3242 3.0802
-3.9078 1.1927 2.8960
-2.3060 6.1486 -0.8645
-2.1189 16.2314 5.0493
-1.2512 7.2099 4.9132
-6.6114 6.3303 1.8217
```

The calculation puts the formation energy at -2.49 eV/atom. The calculation puts the total energy at -717.8 eV per cell. The calculation puts the magnetization at 0.0 Bohr magnetons per cell.